Entry 1:
Tb2Fe17C3 | PBE | relaxed

Lattice parameters (Å, degrees): 6.502 6.502 6.502 83.36 83.36 83.36
Fractional coordinates of all 22 atoms:
Tb1 0.657 0.657 0.657
Tb2 0.343 0.343 0.343
Fe1 0.000 0.000 0.500
Fe2 0.500 0.000 0.000
Fe3 0.000 0.500 0.000
Fe4 0.717 0.283 0.000
Fe5 0.000 0.717 0.283
Fe6 0.283 0.000 0.717
Fe7 0.000 0.283 0.717
Fe8 0.717 0.000 0.283
Fe9 0.283 0.717 0.000
Fe10 0.343 0.343 0.856
Fe11 0.856 0.343 0.343
Fe12 0.343 0.856 0.343
Fe13 0.657 0.657 0.144
Fe14 0.144 0.657 0.657
Fe15 0.657 0.144 0.657
Fe16 0.905 0.905 0.905
Fe17 0.095 0.095 0.095
C1 0.500 0.500 0.000
C2 0.000 0.500 0.500
C3 0.500 0.000 0.500

Computed properties:
DFT formation energy = -1.68 eV/f.u.
Total magnetic moment = 34.8 μB per formula unit
Uncorrected energy = -8.301 eV/atom


Entry 2:
Th2Fe17C | PBE | relaxed

Lattice parameters (Å, degrees): 6.486 6.486 6.499 83.93 83.93 83.20
Fractional coordinates of all 20 atoms:
Th1 0.335 0.335 0.355
Th2 0.665 0.665 0.645
Fe1 0.150 0.658 0.657
Fe2 0.657 0.657 0.149
Fe3 0.658 0.150 0.657
Fe4 0.850 0.342 0.343
Fe5 0.343 0.343 0.851
Fe6 0.342 0.850 0.343
Fe7 0.000 0.000 0.500
Fe8 0.000 0.500 0.000
Fe9 0.500 0.000 0.000
Fe10 0.096 0.096 0.096
Fe11 0.904 0.904 0.904
Fe12 0.716 0.284 0.000
Fe13 0.283 0.998 0.718
Fe14 0.002 0.717 0.282
Fe15 0.717 0.002 0.282
Fe16 0.998 0.283 0.718
Fe17 0.284 0.716 0.000
C1 0.500 0.500 0.000

Computed properties:
DFT formation energy = -0.73 eV/f.u.
Total magnetic moment = 36.1 μB per formula unit
Uncorrected energy = -8.439 eV/atom


Entry 3:
Tm2Fe14C | PBE | relaxed

Lattice parameters (Å, degrees): 8.701 8.701 11.642 90.00 90.00 90.00
Fractional coordinates of all 68 atoms:
Tm1 0.643 0.643 0.500
Tm2 0.759 0.241 0.500
Tm3 0.857 0.143 0.000
Tm4 0.259 0.259 0.000
Tm5 0.357 0.357 0.500
Tm6 0.143 0.857 0.000
Tm7 0.241 0.759 0.500
Tm8 0.741 0.741 0.000
Fe1 0.684 0.684 0.755
Fe2 0.725 0.936 0.620
Fe3 0.643 0.964 0.825
Fe4 0.775 0.436 0.120
Fe5 0.857 0.464 0.675
Fe6 0.500 0.000 0.000
Fe7 0.903 0.903 0.798
Fe8 0.436 0.775 0.880
Fe9 0.597 0.403 0.298
Fe10 0.500 0.500 0.892
Fe11 0.464 0.857 0.675
Fe12 0.936 0.725 0.380
Fe13 0.403 0.597 0.702
Fe14 0.816 0.184 0.255
Fe15 0.536 0.143 0.325
Fe16 0.903 0.903 0.202
Fe17 0.357 0.036 0.825
Fe18 0.857 0.464 0.325
Fe19 0.036 0.357 0.825
Fe20 0.936 0.725 0.620
Fe21 0.436 0.775 0.120
Fe22 0.316 0.316 0.245
Fe23 0.316 0.316 0.755
Fe24 0.964 0.643 0.175
Fe25 0.964 0.643 0.825
Fe26 0.816 0.184 0.745
Fe27 0.536 0.143 0.675
Fe28 0.275 0.064 0.380
Fe29 0.064 0.275 0.620
Fe30 0.225 0.564 0.120
Fe31 0.143 0.536 0.675
Fe32 0.564 0.225 0.120
Fe33 0.275 0.064 0.620
Fe34 0.184 0.816 0.255
Fe35 0.403 0.597 0.298
Fe36 0.684 0.684 0.245
Fe37 0.725 0.936 0.380
Fe38 0.000 0.000 0.392
Fe39 0.064 0.275 0.380
Fe40 0.500 0.500 0.108
Fe41 0.036 0.357 0.175
Fe42 0.597 0.403 0.702
Fe43 0.357 0.036 0.175
Fe44 0.097 0.097 0.202
Fe45 0.184 0.816 0.745
Fe46 0.464 0.857 0.325
Fe47 0.643 0.964 0.175
Fe48 0.000 0.000 0.608
Fe49 0.097 0.097 0.798
Fe50 0.225 0.564 0.880
Fe51 0.775 0.436 0.880
Fe52 0.564 0.225 0.880
Fe53 0.000 0.500 0.000
Fe54 0.143 0.536 0.325
Fe55 0.500 0.000 0.500
Fe56 0.000 0.500 0.500
C1 0.872 0.872 0.500
C2 0.128 0.128 0.500
C3 0.372 0.628 0.000
C4 0.628 0.372 0.000

Computed properties:
DFT formation energy = -1.44 eV/f.u.
Total magnetic moment = 29.9 μB per formula unit
Uncorrected energy = -8.130 eV/atom


Entry 4:
Tm2FeC4 | PBE | relaxed

Lattice parameters (Å, degrees): 6.499 6.499 6.499 135.03 110.07 87.10
Fractional coordinates of all 14 atoms:
Tm1 0.800 0.145 0.655
Tm2 0.200 0.855 0.345
Tm3 0.510 0.355 0.155
Tm4 0.490 0.645 0.845
Fe1 0.000 0.750 0.750
Fe2 0.000 0.250 0.250
C1 0.089 0.422 0.667
C2 0.911 0.578 0.333
C3 0.245 0.078 0.167
C4 0.755 0.922 0.833
C5 0.210 0.370 0.840
C6 0.790 0.630 0.160
C7 0.530 0.870 0.660
C8 0.470 0.130 0.340

Computed properties:
DFT formation energy = -2.22 eV/f.u.
Uncorrected energy = -8.080 eV/atom


Entry 5:
Fe3W3C | PBE | relaxed

Lattice parameters (Å, degrees): 7.832 7.832 7.832 60.00 60.00 60.00
Fractional coordinates of all 28 atoms:
Fe1 0.827 0.518 0.827
Fe2 0.423 0.423 0.732
Fe3 0.518 0.827 0.827
Fe4 0.827 0.827 0.827
Fe5 0.827 0.827 0.518
Fe6 0.423 0.423 0.423
Fe7 0.625 0.625 0.625
Fe8 0.732 0.423 0.423
Fe9 0.423 0.732 0.423
Fe10 0.625 0.625 0.125
Fe11 0.125 0.625 0.625
Fe12 0.625 0.125 0.625
W1 0.453 0.047 0.047
W2 0.453 0.453 0.047
W3 0.797 0.203 0.203
W4 0.047 0.047 0.453
W5 0.203 0.797 0.797
W6 0.203 0.203 0.797
W7 0.797 0.797 0.203
W8 0.453 0.047 0.453
W9 0.047 0.453 0.453
W10 0.797 0.203 0.797
W11 0.203 0.797 0.203
W12 0.047 0.453 0.047
C1 0.125 0.625 0.125
C2 0.125 0.125 0.125
C3 0.625 0.125 0.125
C4 0.125 0.125 0.625

Computed properties:
DFT formation energy = -0.17 eV/f.u.
Total magnetic moment = 0.5 μB per formula unit
Uncorrected energy = -10.526 eV/atom


Entry 6:
Fe2W2C | PBE | relaxed

Lattice parameters (Å, degrees): 7.876 7.876 7.876 60.00 60.00 60.00
Fractional coordinates of all 30 atoms:
Fe1 0.826 0.826 0.826
Fe2 0.826 0.522 0.826
Fe3 0.826 0.826 0.522
Fe4 0.522 0.826 0.826
Fe5 0.424 0.424 0.424
Fe6 0.424 0.728 0.424
Fe7 0.424 0.424 0.728
Fe8 0.728 0.424 0.424
Fe9 0.625 0.625 0.625
Fe10 0.625 0.125 0.625
Fe11 0.625 0.625 0.125
Fe12 0.125 0.625 0.625
W1 0.200 0.800 0.200
W2 0.200 0.200 0.800
W3 0.800 0.200 0.200
W4 0.200 0.800 0.800
W5 0.800 0.800 0.200
W6 0.800 0.200 0.800
W7 0.050 0.450 0.050
W8 0.050 0.050 0.450
W9 0.450 0.050 0.050
W10 0.050 0.450 0.450
W11 0.450 0.450 0.050
W12 0.450 0.050 0.450
C1 0.125 0.125 0.125
C2 0.125 0.625 0.125
C3 0.125 0.125 0.625
C4 0.625 0.125 0.125
C5 0.000 0.000 0.000
C6 0.250 0.250 0.250

Computed properties:
DFT formation energy = 0.67 eV/f.u.
Total magnetic moment = 0.5 μB per formula unit
Uncorrected energy = -10.282 eV/atom


Entry 7:
Fe3W10C3 | PBE | relaxed

Lattice parameters (Å, degrees): 7.913 7.913 8.060 90.00 90.00 120.00
Fractional coordinates of all 32 atoms:
Fe1 0.454 0.546 0.250
Fe2 0.454 0.908 0.250
Fe3 0.092 0.546 0.250
Fe4 0.546 0.454 0.750
Fe5 0.546 0.092 0.750
Fe6 0.908 0.454 0.750
W1 0.120 0.880 0.250
W2 0.120 0.241 0.250
W3 0.759 0.880 0.250
W4 0.880 0.120 0.750
W5 0.880 0.759 0.750
W6 0.241 0.120 0.750
W7 0.209 0.791 0.934
W8 0.209 0.419 0.934
W9 0.581 0.791 0.934
W10 0.791 0.209 0.066
W11 0.791 0.581 0.066
W12 0.419 0.209 0.066
W13 0.791 0.209 0.434
W14 0.791 0.581 0.434
W15 0.419 0.209 0.434
W16 0.209 0.791 0.566
W17 0.209 0.419 0.566
W18 0.581 0.791 0.566
W19 0.000 0.000 0.500
W20 0.000 0.000 0.000
C1 0.500 0.500 0.500
C2 0.500 0.000 0.500
C3 0.000 0.500 0.500
C4 0.500 0.500 0.000
C5 0.500 0.000 0.000
C6 0.000 0.500 0.000

Computed properties:
DFT formation energy = 3.19 eV/f.u.
Total magnetic moment = 5.5 μB per formula unit
Uncorrected energy = -11.218 eV/atom


Entry 8:
Fe21W2C6 | PBE | relaxed

Lattice parameters (Å, degrees): 7.408 7.407 7.407 60.00 60.00 60.00
Fractional coordinates of all 29 atoms:
Fe1 0.616 0.616 0.151
Fe2 0.384 0.384 0.384
Fe3 0.662 0.000 0.338
Fe4 0.000 0.000 0.338
Fe5 0.338 0.000 0.662
Fe6 0.338 0.000 0.000
Fe7 0.000 0.338 0.000
Fe8 0.662 0.000 0.000
Fe9 0.000 0.338 0.662
Fe10 0.338 0.662 0.000
Fe11 0.616 0.151 0.616
Fe12 0.000 0.662 0.000
Fe13 0.616 0.616 0.616
Fe14 0.151 0.616 0.616
Fe15 0.000 0.000 0.000
Fe16 0.000 0.000 0.662
Fe17 0.384 0.849 0.384
Fe18 0.849 0.384 0.384
Fe19 0.662 0.338 0.000
Fe20 0.000 0.662 0.338
Fe21 0.384 0.384 0.849
W1 0.250 0.250 0.250
W2 0.750 0.750 0.750
C1 0.280 0.720 0.280
C2 0.280 0.280 0.720
C3 0.280 0.720 0.720
C4 0.720 0.280 0.280
C5 0.720 0.720 0.280
C6 0.720 0.280 0.720

Computed properties:
DFT formation energy = 0.95 eV/f.u.
Total magnetic moment = 30.2 μB per formula unit
Uncorrected energy = -8.904 eV/atom


Entry 9:
Y2FeC4 | PBE | relaxed

Lattice parameters (Å, degrees): 5.044 6.621 6.621 68.87 67.61 67.61
Fractional coordinates of all 14 atoms:
Y1 0.146 0.197 0.512
Y2 0.854 0.803 0.488
Y3 0.646 0.512 0.197
Y4 0.354 0.488 0.803
Fe1 0.750 0.000 0.000
Fe2 0.250 0.000 0.000
C1 0.372 0.792 0.465
C2 0.628 0.208 0.535
C3 0.872 0.465 0.792
C4 0.128 0.535 0.208
C5 0.423 0.912 0.242
C6 0.577 0.088 0.758
C7 0.923 0.242 0.912
C8 0.077 0.758 0.088

Computed properties:
DFT formation energy = -2.00 eV/f.u.
Total magnetic moment = 0.0 μB per formula unit
Uncorrected energy = -8.616 eV/atom


Entry 10:
Y4Fe34C3 | PBE | relaxed

Lattice parameters (Å, degrees): 6.478 6.446 12.914 83.27 83.67 83.78
Fractional coordinates of all 41 atoms:
Y1 0.663 0.653 0.327
Y2 0.661 0.660 0.825
Y3 0.337 0.347 0.173
Y4 0.339 0.340 0.675
Fe1 0.285 0.715 0.000
Fe2 0.285 0.716 0.500
Fe3 0.715 0.001 0.142
Fe4 0.713 0.001 0.644
Fe5 0.001 0.286 0.357
Fe6 0.998 0.288 0.856
Fe7 0.285 0.999 0.358
Fe8 0.287 0.999 0.856
Fe9 0.999 0.714 0.143
Fe10 0.002 0.712 0.644
Fe11 0.715 0.284 0.000
Fe12 0.715 0.285 0.500
Fe13 0.903 0.904 0.452
Fe14 0.904 0.904 0.951
Fe15 0.097 0.096 0.048
Fe16 0.096 0.096 0.549
Fe17 0.000 0.000 0.250
Fe18 0.000 0.000 0.750
Fe19 0.999 0.500 0.500
Fe20 0.001 0.500 0.000
Fe21 0.500 0.998 0.999
Fe22 0.500 0.002 0.501
Fe23 0.854 0.345 0.173
Fe24 0.851 0.344 0.673
Fe25 0.341 0.344 0.427
Fe26 0.343 0.342 0.925
Fe27 0.342 0.853 0.171
Fe28 0.344 0.852 0.673
Fe29 0.146 0.655 0.327
Fe30 0.149 0.656 0.827
Fe31 0.659 0.656 0.073
Fe32 0.657 0.658 0.575
Fe33 0.658 0.147 0.329
Fe34 0.656 0.148 0.827
C1 0.499 0.499 0.999
C2 0.501 0.501 0.501
C3 0.500 0.000 0.250

Computed properties:
DFT formation energy = -1.91 eV/f.u.
Total magnetic moment = 73.9 μB per formula unit
Uncorrected energy = -8.377 eV/atom


Entry 11:
GaC | PBE | relaxed

Lattice parameters (Å, degrees): 3.262 3.262 5.611 90.00 90.00 120.00
Fractional coordinates of all 4 atoms:
Ga1 0.667 0.333 0.865
Ga2 0.333 0.667 0.365
C1 0.667 0.333 0.509
C2 0.333 0.667 0.009

Computed properties:
DFT formation energy = 1.99 eV/f.u.
Total magnetic moment = 0.0 μB per formula unit
Uncorrected energy = -5.132 eV/atom


Entry 12:
Gd3GaC | PBE | relaxed

Lattice parameters (Å, degrees): 4.914 4.914 4.914 90.00 90.00 90.00
Fractional coordinates of all 5 atoms:
Gd1 0.500 0.000 0.000
Gd2 0.000 0.500 0.000
Gd3 0.000 0.000 0.500
Ga1 0.500 0.500 0.500
C1 0.000 0.000 0.000

Computed properties:
DFT formation energy = -2.02 eV/f.u.
Uncorrected energy = -11.302 eV/atom